! Er2TeO6, relaxed, DFT PBE-GGA; values from VASP
! E above lowest polymorph: 1.0 meV per atom
! crystal system: trigonal
! energy of formation: -3037 meV per atom
! space group: P321
! mass density: 7460 kg/m3
&SYSTEM
  ibrav = 0, nat = 27, ntyp = 3
/
ATOMIC_SPECIES
Er 167.26 Er.upf
Te 127.60 Te.upf
O 16.00 O.upf
ATOMIC_POSITIONS crystal
Er 0.000 0.287 0.000
Er 0.000 0.625 0.500
Er 0.287 0.000 0.000
Er 0.375 0.375 0.500
Er 0.625 0.000 0.500
Er 0.713 0.713 0.000
Te 0.000 0.000 0.500
Te 0.333 0.667 0.007
Te 0.667 0.333 0.993
O 0.083 0.881 0.288
O 0.119 0.202 0.288
O 0.132 0.543 0.223
O 0.202 0.119 0.712
O 0.222 0.759 0.792
O 0.241 0.463 0.792
O 0.411 0.868 0.223
O 0.457 0.589 0.223
O 0.463 0.241 0.208
O 0.537 0.778 0.792
O 0.543 0.132 0.777
O 0.589 0.457 0.777
O 0.759 0.222 0.208
O 0.778 0.537 0.208
O 0.798 0.917 0.288
O 0.868 0.411 0.777
O 0.881 0.083 0.712
O 0.917 0.798 0.712
CELL_PARAMETERS angstrom
9.153 0.000 0.000
-4.576 7.926 0.000
0.000 0.000 5.137